(1)
Computed, not measured: a relaxed Na2TbO3 crystal at the PBE level of DFT.

Values from the calculation:
Formation enthalpy at 0 K (eV per atom): -2.448
MP2020-corrected energy (eV/atom): -6.14
Spin magnetization (μB/atom): 0.1667
Volume (Å³ per cell): 174

a = 5.983 Å, b = 5.983 Å, c = 5.958 Å
α = 99.92°, β = 99.92°, γ = 119.73°
Atoms (fractional coordinates):
Na: 0.000 0.000 0.000
Na: 0.160 0.840 0.500
Na: 0.500 0.500 0.500
Na: 0.840 0.160 0.500
Tb: 0.335 0.665 0.000
Tb: 0.665 0.335 0.000
O: 0.075 0.438 0.222
O: 0.287 0.287 0.773
O: 0.438 0.075 0.222
O: 0.562 0.925 0.778
O: 0.713 0.713 0.227
O: 0.925 0.562 0.778

***

(2)
Computed, not measured: a relaxed NaTbTi4O12 crystal at the PBE level of DFT.

Values from the calculation:
Formation enthalpy at 0 K (eV per atom): -2.894
MP2020-corrected energy (eV/atom): -8.28
Spin magnetization (μB/atom): 0.2222
Volume (Å³ per cell): 230

a = 5.430 Å, b = 5.430 Å, c = 7.818 Å
α = 90.00°, β = 90.00°, γ = 90.00°
Atoms (fractional coordinates):
Na: 0.000 0.000 0.000
Tb: 0.500 0.500 0.500
Ti: 0.000 0.500 0.240
Ti: 0.000 0.500 0.760
Ti: 0.500 0.000 0.240
Ti: 0.500 0.000 0.760
O: 0.000 0.500 0.000
O: 0.000 0.500 0.500
O: 0.259 0.259 0.273
O: 0.259 0.259 0.727
O: 0.259 0.741 0.273
O: 0.259 0.741 0.727
O: 0.500 0.000 0.000
O: 0.500 0.000 0.500
O: 0.741 0.259 0.273
O: 0.741 0.259 0.727
O: 0.741 0.741 0.273
O: 0.741 0.741 0.727

***

(3)
Computed, not measured: a relaxed NaTcO3 crystal at the PBE level of DFT.

Values from the calculation:
Formation enthalpy at 0 K (eV per atom): -1.976
MP2020-corrected energy (eV/atom): -7.28
Volume (Å³ per cell): 58

a = 3.876 Å, b = 3.876 Å, c = 3.876 Å
α = 90.00°, β = 90.00°, γ = 90.00°
Atoms (fractional coordinates):
Na: 0.000 0.000 0.000
Tc: 0.500 0.500 0.500
O: 0.000 0.500 0.500
O: 0.500 0.000 0.500
O: 0.500 0.500 0.000

***

(4)
Computed, not measured: a relaxed Na2TeO5 crystal at the PBE level of DFT.

Values from the calculation:
Formation enthalpy at 0 K (eV per atom): -0.918
MP2020-corrected energy (eV/atom): -4.73
Relative energy among the computed polymorphs (eV per atom): 0.266
Spin magnetization (μB/atom): 0.5000
Volume (Å³ per cell): 330

a = 6.343 Å, b = 6.343 Å, c = 9.206 Å
α = 90.00°, β = 90.00°, γ = 117.10°
Atoms (fractional coordinates):
Na: 0.000 0.000 0.000
Na: 0.000 0.000 0.500
Na: 0.391 0.609 0.750
Na: 0.609 0.391 0.250
Te: 0.223 0.777 0.250
Te: 0.777 0.223 0.750
O: 0.059 0.349 0.625
O: 0.059 0.349 0.875
O: 0.062 0.938 0.750
O: 0.349 0.059 0.125
O: 0.349 0.059 0.375
O: 0.651 0.941 0.625
O: 0.651 0.941 0.875
O: 0.938 0.062 0.250
O: 0.941 0.651 0.125
O: 0.941 0.651 0.375

***

(5)
Computed, not measured: a relaxed Na2TeO5 crystal at the PBE level of DFT.

Values from the calculation:
Formation enthalpy at 0 K (eV per atom): -1.184
MP2020-corrected energy (eV/atom): -5.00
Relative energy among the computed polymorphs (eV per atom): 0.000
Spin magnetization (μB/atom): 0.0000
Volume (Å³ per cell): 277

a = 6.264 Å, b = 6.264 Å, c = 8.030 Å
α = 90.00°, β = 90.00°, γ = 118.49°
Atoms (fractional coordinates):
Na: 0.000 0.000 0.000
Na: 0.000 0.000 0.500
Na: 0.359 0.641 0.750
Na: 0.641 0.359 0.250
Te: 0.233 0.767 0.250
Te: 0.767 0.233 0.750
O: 0.035 0.426 0.556
O: 0.035 0.426 0.944
O: 0.061 0.939 0.250
O: 0.426 0.035 0.056
O: 0.426 0.035 0.444
O: 0.574 0.965 0.556
O: 0.574 0.965 0.944
O: 0.939 0.061 0.750
O: 0.965 0.574 0.056
O: 0.965 0.574 0.444

***

(6)
Computed, not measured: a relaxed NaTeO3 crystal at the PBE level of DFT.

Values from the calculation:
Formation enthalpy at 0 K (eV per atom): -1.587
MP2020-corrected energy (eV/atom): -5.45
Spin magnetization (μB/atom): 0.0001
Volume (Å³ per cell): 67

a = 4.066 Å, b = 4.066 Å, c = 4.066 Å
α = 90.00°, β = 90.00°, γ = 90.00°
Atoms (fractional coordinates):
Na: 0.000 0.000 0.000
Te: 0.500 0.500 0.500
O: 0.000 0.500 0.500
O: 0.500 0.000 0.500
O: 0.500 0.500 0.000